# 1
Pr4B3O10F: relaxed, PBE.

Results
- total DFT energy (no corrections) (eV/cell) = -294.1
- energy of formation from the pure elements (meV/atom) = -3546
- crystal system = triclinic
- total moment (μB per formula unit) = 0.0

abc: 6.6544 8.8414 8.8813
angles: 105.83 106.38 106.68
Sites, in units of the cell vectors:
Pr  0.0020  0.1468  0.2360
Pr  0.2145  0.3591  0.8030
Pr  0.3321  0.8088  0.1669
Pr  0.3540  0.6574  0.5423
Pr  0.6460  0.3426  0.4577
Pr  0.6679  0.1912  0.8331
Pr  0.7855  0.6409  0.1970
Pr  0.9980  0.8532  0.7640
B  0.2191  0.4551  0.1728
B  0.2516  0.0151  0.4962
B  0.4272  0.1662  0.0717
B  0.5728  0.8338  0.9283
B  0.7484  0.9849  0.5038
B  0.7809  0.5449  0.8272
O  0.0362  0.2939  0.0430
O  0.0940  0.9232  0.3298
O  0.1330  0.5877  0.2465
O  0.2921  0.0736  0.1360
O  0.3211  0.9338  0.6001
O  0.3307  0.1441  0.9030
O  0.3400  0.7347  0.8358
O  0.3440  0.4182  0.3196
O  0.3463  0.1931  0.5541
O  0.3722  0.5339  0.0965
O  0.6278  0.4661  0.9035
O  0.6537  0.8069  0.4459
O  0.6560  0.5818  0.6804
O  0.6600  0.2653  0.1642
O  0.6693  0.8559  0.0970
O  0.6789  0.0662  0.3999
O  0.7079  0.9264  0.8640
O  0.8670  0.4123  0.7535
O  0.9060  0.0768  0.6702
O  0.9638  0.7061  0.9570
F  0.0679  0.3746  0.5064
F  0.9321  0.6254  0.4936

# 2
Na3CuAsCO7: relaxed, PBE.

Results
- total DFT energy (no corrections) (eV/cell) = -151.5
- energy of formation from the pure elements (meV/atom) = -1842
- crystal system = monoclinic
- total moment (μB per formula unit) = 1.0

abc: 5.3053 6.7384 9.2066
angles: 90.00 92.99 90.00
Sites, in units of the cell vectors:
Na  0.2312  0.2500  0.0793
Na  0.2455  0.5029  0.7423
Na  0.2455  0.9971  0.7423
Na  0.7545  0.0029  0.2577
Na  0.7545  0.4971  0.2577
Na  0.7688  0.7500  0.9207
Cu  0.2202  0.7500  0.3475
Cu  0.7798  0.2500  0.6525
As  0.3076  0.2500  0.4209
As  0.6924  0.7500  0.5791
C  0.2835  0.7500  0.0578
C  0.7165  0.2500  0.9422
O  0.0786  0.7500  0.1324
O  0.1746  0.2500  0.5840
O  0.2250  0.0513  0.3079
O  0.2250  0.4487  0.3079
O  0.2586  0.7500  0.9173
O  0.3638  0.7500  0.5520
O  0.4972  0.2500  0.8752
O  0.5028  0.7500  0.1248
O  0.6362  0.2500  0.4480
O  0.7414  0.2500  0.0827
O  0.7750  0.5513  0.6921
O  0.7750  0.9487  0.6921
O  0.8254  0.7500  0.4160
O  0.9214  0.2500  0.8676

- Look up the total DFT energy (no corrections) of the first one.
  -294.1 eV/cell

- Which value of total DFT energy (no corrections) does entry 2 give?
  -151.5 eV/cell

- Look up the total moment of the second one.
  1.0 μB per formula unit

- Among the records above, which one has the lowest energy of formation from the pure elements?
  Pr4B3O10F